No. 1
# HfSiPt | the Materials Project database | r2SCAN | optimized geometry
# formation energy	-3.54	eV per formula unit
data_HfSiPt
_cell_length_a 6.557
_cell_length_b 3.884
_cell_length_c 7.517
_cell_angle_alpha 90.00
_cell_angle_beta 90.00
_cell_angle_gamma 90.00
_symmetry_space_group_name_H-M 'P n m a'
_symmetry_Int_Tables_number 62
loop_
_symmetry_equiv_pos_as_xyz
'x,y,z'
'-x,-y,-z'
'-x+1/2,-y,z+1/2'
'x+1/2,y,-z+1/2'
'x+1/2,-y+1/2,-z+1/2'
'-x+1/2,y+1/2,z+1/2'
'-x,y+1/2,-z'
'x,-y+1/2,z'
loop_
_atom_site_label
_atom_site_type_symbol
_atom_site_fract_x
_atom_site_fract_y
_atom_site_fract_z
Hf1 Hf 0.025 0.250 0.177
Si1 Si 0.239 0.750 0.378
Pt1 Pt 0.146 0.250 0.566

No. 2
# LaNi | the Materials Project database | r2SCAN | optimized geometry
# formation energy	-0.54	eV per formula unit
data_LaNi
_cell_length_a 3.810
_cell_length_b 10.904
_cell_length_c 4.363
_cell_angle_alpha 90.00
_cell_angle_beta 90.00
_cell_angle_gamma 90.00
_symmetry_space_group_name_H-M 'C m c m'
_symmetry_Int_Tables_number 63
_symmetry_space_group_name_Hall '-C 2c 2'
loop_
_atom_site_label
_atom_site_type_symbol
_atom_site_fract_x
_atom_site_fract_y
_atom_site_fract_z
La1 La 0.000 0.133 0.250
Ni1 Ni 0.000 0.427 0.250

> Among the records above, which one has the highest formation energy?

LaNi

> formation energy of number 1 (HfSiPt)?

-3.54 eV per formula unit

Repeat the first record exactly.
# HfSiPt | the Materials Project database | r2SCAN | optimized geometry
# formation energy	-3.54	eV per formula unit
data_HfSiPt
_cell_length_a 6.557
_cell_length_b 3.884
_cell_length_c 7.517
_cell_angle_alpha 90.00
_cell_angle_beta 90.00
_cell_angle_gamma 90.00
_symmetry_space_group_name_H-M 'P n m a'
_symmetry_Int_Tables_number 62
loop_
_symmetry_equiv_pos_as_xyz
'x,y,z'
'-x,-y,-z'
'-x+1/2,-y,z+1/2'
'x+1/2,y,-z+1/2'
'x+1/2,-y+1/2,-z+1/2'
'-x+1/2,y+1/2,z+1/2'
'-x,y+1/2,-z'
'x,-y+1/2,z'
loop_
_atom_site_label
_atom_site_type_symbol
_atom_site_fract_x
_atom_site_fract_y
_atom_site_fract_z
Hf1 Hf 0.025 0.250 0.177
Si1 Si 0.239 0.750 0.378
Pt1 Pt 0.146 0.250 0.566

> Which of these has the lowest formation energy?

HfSiPt